Record 1
First-principles (GGA-PBE) data for HfMg6BO7 after structural relaxation, as listed in the Materials Project database. Values from VASP.

```
&SYSTEM
  ibrav = 0, nat = 15, ntyp = 4
/
ATOMIC_SPECIES
Hf 178.49 Hf.upf
Mg 24.30 Mg.upf
B 10.81 B.upf
O 16.00 O.upf
ATOMIC_POSITIONS crystal
Hf 0.000 0.000 0.000
Mg 0.000 0.000 0.523
Mg 0.000 0.500 0.280
Mg 0.000 0.500 0.751
Mg 0.500 0.000 0.280
Mg 0.500 0.000 0.751
Mg 0.500 0.500 0.509
B 0.500 0.500 0.151
O 0.000 0.000 0.716
O 0.000 0.500 0.473
O 0.000 0.500 0.941
O 0.500 0.000 0.473
O 0.500 0.000 0.941
O 0.500 0.500 0.290
O 0.500 0.500 0.699
CELL_PARAMETERS angstrom
4.075 0.000 0.000
0.000 4.075 0.000
0.000 0.000 10.524
```

Calculated values
Its relative energy among the computed polymorphs is 0.044 eV per atom. Its space group is P4mm (99). The density is 4.25 Mg/m³. The value obtained for the energy is -0.4474 Ry per atom. The total magnetization comes out at 0.00 μB per formula unit. The calculation puts the volume at 11.65 Å³/atom.



Record 2
First-principles (GGA-PBE) data for Zr2Al3C4 after structural relaxation, as listed in the Materials Project database. Values from VASP.

```
&SYSTEM
  ibrav = 0, nat = 18, ntyp = 3
/
ATOMIC_SPECIES
Zr 91.22 Zr.upf
Al 26.98 Al.upf
C 12.01 C.upf
ATOMIC_POSITIONS crystal
Zr 0.333 0.667 0.059
Zr 0.333 0.667 0.441
Zr 0.667 0.333 0.559
Zr 0.667 0.333 0.941
Al 0.000 0.000 0.160
Al 0.000 0.000 0.340
Al 0.000 0.000 0.660
Al 0.000 0.000 0.840
Al 0.333 0.667 0.750
Al 0.667 0.333 0.250
C 0.000 0.000 0.000
C 0.000 0.000 0.250
C 0.000 0.000 0.500
C 0.000 0.000 0.750
C 0.333 0.667 0.629
C 0.333 0.667 0.871
C 0.667 0.333 0.129
C 0.667 0.333 0.371
CELL_PARAMETERS angstrom
3.363 0.000 0.000
-1.681 2.912 0.000
0.000 0.000 22.321
```

Calculated values
Its relative energy among the computed polymorphs is 0.000 eV per atom. Its space group is P6_3/mmc (194). The density is 4.73 Mg/m³. The value obtained for the energy is -0.5662 Ry per atom. The calculation puts the volume at 12.14 Å³/atom.